Record 1
DFT (PBE-GGA) results for an optimized crystal structure of CeBN2.

## Properties
Calculated volume, Å³/cell: 287
Total magnetization, Bohr magnetons per cell: 4.00
Final energy, eV/atom: -8.641
Formation energy from the elements, meV/atom: -1500

a = 6.419 Å, b = 6.796 Å, c = 7.703 Å
α = 106.56°, β = 90.19°, γ = 115.64°
Space group P-1 (No. 2)
Unique sites:
Ce (0.035, 0.282, 0.076) [2 per cell]
Ce (0.037, 0.279, 0.566) [2 per cell]
Ce (0.453, 0.148, 0.794) [2 per cell]
B (0.222, 0.071, 0.269) [2 per cell]
B (0.399, 0.705, 0.832) [2 per cell]
B (0.401, 0.716, 0.512) [2 per cell]
N (0.032, 0.018, 0.753) [2 per cell]
N (0.263, 0.554, 0.931) [2 per cell]
N (0.264, 0.583, 0.334) [2 per cell]
N (0.269, 0.701, 0.670) [2 per cell]
N (0.346, 0.132, 0.455) [2 per cell]
N (0.349, 0.130, 0.116) [2 per cell]

Record 2
DFT (PBE-GGA) results for an optimized crystal structure of LiErTlO2.

## Properties
ΔE to the lowest computed polymorph, eV/atom: 0.033
Calculated volume, Å³/cell: 185
Total magnetization, Bohr magnetons per cell: 0.00
Final energy, eV/atom: -5.884
Formation energy from the elements, meV/atom: -2412

a = 5.842 Å, b = 3.371 Å, c = 9.636 Å
α = 90.00°, β = 102.18°, γ = 90.00°
Space group Cm (No. 8)
Unique sites:
Li (0.000, 0.000, 0.000) [2 per cell]
Er (0.417, 0.000, 0.243) [2 per cell]
Tl (0.388, 0.500, 0.646) [2 per cell]
O (0.117, 0.000, 0.340) [2 per cell]
O (0.198, 0.500, 0.091) [2 per cell]